# 1
First-principles (meta-GGA r2SCAN) data for an optimized crystal structure of Yb2TiO5, as listed in the Materials Project.

abc: 11.433 5.189 7.377
angles: 90.00 114.03 90.00
Space group C2/c (No. 15)
One atom of each set of equivalent atoms:
Yb1 0.139 0.011 0.256 (multiplicity 8)
Ti1 0.000 0.500 0.000 (multiplicity 4)
O1 0.000 0.330 0.250 (multiplicity 4)
O2 0.074 0.180 0.959 (multiplicity 8)
O3 0.171 0.349 0.642 (multiplicity 8)

Properties
Calculated total energy, eV/atom: -18.233
Energy of formation from the pure elements, eV per formula unit: -30.01
V, Å³ per cell: 400

---

# 2
First-principles (meta-GGA r2SCAN) data for an optimized crystal structure of Yb2TiO5, as listed in the Materials Project.

abc: 3.995 10.746 10.293
angles: 90.00 90.00 90.00
Space group Cmcm (No. 63)
One atom of each set of equivalent atoms:
Yb1 0.000 0.143 0.069 (multiplicity 8)
Ti1 0.000 0.173 0.750 (multiplicity 4)
O1 0.000 0.050 0.622 (multiplicity 8)
O2 0.000 0.272 0.250 (multiplicity 4)
O3 0.000 0.292 0.590 (multiplicity 8)

Properties
Calculated total energy, eV/atom: -18.237
Energy of formation from the pure elements, eV per formula unit: -30.04
V, Å³ per cell: 442